No. 1
CdSnTe2 | PBE | relaxed

Cell lengths 7.564, 7.564, 7.564 Å; angles 34.48, 34.48, 34.48 degrees
Fractional positions:
Sn 0.500 0.500 0.500
Te 0.254 0.254 0.254
Te 0.746 0.746 0.746
Cd 0.000 0.000 0.000

Output
E_form = -0.48 eV per atom

No. 2
Sr5Cd3 | PBE | relaxed

Cell lengths 10.422, 10.422, 10.422 Å; angles 130.88, 130.88, 72.00 degrees
Fractional positions:
Sr 0.521 0.684 0.500
Sr 0.479 0.316 0.500
Sr 0.684 0.184 0.163
Sr 0.021 0.521 0.837
Sr 0.316 0.816 0.837
Sr 0.184 0.021 0.500
Sr 0.500 0.500 0.000
Sr 0.979 0.479 0.163
Sr 0.000 0.000 0.000
Sr 0.816 0.979 0.500
Cd 0.378 0.878 0.255
Cd 0.878 0.622 0.500
Cd 0.122 0.378 0.500
Cd 0.250 0.250 0.000
Cd 0.750 0.750 0.000
Cd 0.622 0.122 0.745

Output
E_form = -0.25 eV per atom

No. 3
Sr4Cd11 | PBE | relaxed

Cell lengths 7.936, 11.683, 11.683 Å; angles 83.38, 70.15, 70.15 degrees
Fractional positions:
Cd 0.876 0.909 0.623
Cd 0.125 0.750 0.750
Cd 0.000 0.000 0.000
Cd 0.749 0.409 0.877
Cd 0.501 0.091 0.623
Cd 0.841 0.409 0.123
Cd 0.409 0.091 0.377
Cd 0.501 0.623 0.091
Cd 0.374 0.877 0.591
Cd 0.250 0.500 0.500
Cd 0.214 0.909 0.377
Cd 0.125 0.750 0.250
Cd 0.374 0.591 0.877
Cd 0.125 0.250 0.750
Cd 0.749 0.877 0.409
Cd 0.625 0.250 0.250
Cd 0.036 0.123 0.591
Cd 0.036 0.591 0.123
Cd 0.214 0.377 0.909
Cd 0.409 0.377 0.091
Cd 0.841 0.123 0.409
Cd 0.876 0.623 0.909
Sr 0.693 0.864 0.136
Sr 0.807 0.636 0.636
Sr 0.443 0.864 0.864
Sr 0.170 0.136 0.136
Sr 0.080 0.364 0.364
Sr 0.557 0.636 0.364
Sr 0.693 0.136 0.864
Sr 0.557 0.364 0.636

Output
E_form = -0.06 eV per atom

No. 4
SrCd | PBE | relaxed

Cell lengths 4.082, 4.082, 4.082 Å; angles 90.00, 90.00, 90.00 degrees
Fractional positions:
Cd 0.000 0.000 0.000
Sr 0.500 0.500 0.500

Output
E_form = -0.32 eV per atom

No. 5
Sr2TlCd | PBE | relaxed

Cell lengths 5.779, 5.779, 5.779 Å; angles 60.00, 60.00, 60.00 degrees
Fractional positions:
Tl 0.000 0.000 0.000
Sr 0.250 0.250 0.250
Sr 0.750 0.750 0.750
Cd 0.500 0.500 0.500

Output
E_form = -0.39 eV per atom

No. 6
Sr5ZnCd4 | PBE | relaxed

Cell lengths 4.056, 4.056, 20.046 Å; angles 90.00, 90.00, 90.00 degrees
Fractional positions:
Sr 0.500 0.500 0.300
Sr 0.500 0.500 0.904
Sr 0.500 0.500 0.500
Sr 0.500 0.500 0.096
Sr 0.500 0.500 0.700
Cd 0.000 0.000 0.600
Cd 0.000 0.000 0.400
Cd 0.000 0.000 0.200
Cd 0.000 0.000 0.800
Zn 0.000 0.000 0.000

Output
E_form = -0.30 eV per atom